No. 1
{
  "formula": "AgPtF6",
  "functional": "GGA-PBE",
  "state": "relaxed",
  "vol_a3_per_cell": 243,
  "corrected_energy_ev_per_atom": -4.1577,
  "formation_energy_ev_per_fu": -12.9,
  "cell": [[5.253, 0.000, 0.000], [2.602, 4.578, 0.000], [2.505, 1.478, 10.094]],
  "species": ["Ag", "Ag", "Pt", "Pt", "F", "F", "F", "F", "F", "F", "F", "F", "F", "F", "F", "F"],
  "fractional_positions": [[0.000, 0.000, 0.000], [0.500, 0.500, 0.500], [0.230, 0.278, 0.250], [0.770, 0.722, 0.750], [0.036, 0.383, 0.864], [0.107, 0.766, 0.637], [0.196, 0.541, 0.365], [0.270, 0.012, 0.136], [0.432, 0.690, 0.863], [0.489, 0.940, 0.363], [0.511, 0.060, 0.637], [0.568, 0.310, 0.137], [0.730, 0.988, 0.864], [0.804, 0.459, 0.635], [0.893, 0.234, 0.363], [0.964, 0.617, 0.136]]
}

No. 2
{
  "formula": "Sm3DyS4",
  "functional": "GGA-PBE",
  "state": "relaxed",
  "vol_a3_per_cell": 179,
  "corrected_energy_ev_per_atom": -6.6740,
  "formation_energy_ev_per_fu": -18.1,
  "cell": [[3.996, 0.000, 0.000], [0.000, 5.652, 0.000], [0.000, 0.000, 7.926]],
  "species": ["Sm", "Sm", "Sm", "Dy", "S", "S", "S", "S"],
  "fractional_positions": [[0.000, 0.000, 0.000], [0.500, 0.500, 0.247], [0.500, 0.500, 0.753], [0.000, 0.000, 0.500], [0.000, 0.500, 0.000], [0.000, 0.500, 0.500], [0.500, 0.000, 0.258], [0.500, 0.000, 0.742]]
}

No. 3
{
  "formula": "Ga2Se3",
  "functional": "GGA-PBE",
  "state": "relaxed",
  "vol_a3_per_cell": 383,
  "corrected_energy_ev_per_atom": -3.7431,
  "formation_energy_ev_per_fu": -2.2,
  "cell": [[7.024, -3.557, 0.000], [7.024, 3.557, 0.000], [-7.020, 0.000, 7.656]],
  "species": ["Ga", "Ga", "Ga", "Ga", "Se", "Se", "Se", "Se", "Se", "Se"],
  "fractional_positions": [[0.014, 0.986, 0.500], [0.523, 0.699, 0.896], [0.699, 0.523, 0.396], [0.986, 0.014, 0.000], [0.007, 0.751, 0.208], [0.060, 0.755, 0.613], [0.366, 0.949, 0.146], [0.751, 0.007, 0.708], [0.755, 0.060, 0.113], [0.949, 0.366, 0.646]]
}

No. 4
{
  "formula": "Tc7B3",
  "functional": "GGA-PBE",
  "state": "relaxed",
  "vol_a3_per_cell": 238,
  "formation_energy_ev_per_fu": -3.2,
  "cell": [[7.517, 0.000, 0.000], [-3.759, 6.510, 0.000], [0.000, 0.000, 4.867]],
  "species": ["Tc", "Tc", "Tc", "Tc", "Tc", "Tc", "Tc", "Tc", "Tc", "Tc", "Tc", "Tc", "Tc", "Tc", "B", "B", "B", "B", "B", "B"],
  "fractional_positions": [[0.091, 0.546, 0.000], [0.124, 0.247, 0.705], [0.124, 0.876, 0.705], [0.247, 0.124, 0.205], [0.333, 0.667, 0.534], [0.454, 0.546, 0.000], [0.454, 0.909, 0.000], [0.546, 0.091, 0.500], [0.546, 0.454, 0.500], [0.667, 0.333, 0.034], [0.753, 0.876, 0.705], [0.876, 0.124, 0.205], [0.876, 0.753, 0.205], [0.909, 0.454, 0.500], [0.189, 0.379, 0.291], [0.189, 0.811, 0.291], [0.379, 0.189, 0.791], [0.621, 0.811, 0.291], [0.811, 0.189, 0.791], [0.811, 0.621, 0.791]]
}

No. 5
{
  "formula": "Zr3Te",
  "functional": "GGA-PBE",
  "state": "relaxed",
  "vol_a3_per_cell": 370,
  "corrected_energy_ev_per_atom": -7.8021,
  "formation_energy_ev_per_fu": -2.4,
  "cell": [[-5.705, 5.705, 2.842], [5.705, -5.705, 2.842], [5.705, 5.705, -2.842]],
  "species": ["Zr", "Zr", "Zr", "Zr", "Zr", "Zr", "Zr", "Zr", "Zr", "Zr", "Zr", "Zr", "Te", "Te", "Te", "Te"],
  "fractional_positions": [[0.078, 0.048, 0.596], [0.119, 0.458, 0.623], [0.186, 0.371, 0.979], [0.392, 0.207, 0.021], [0.451, 0.482, 0.404], [0.505, 0.881, 0.339], [0.518, 0.922, 0.970], [0.542, 0.165, 0.661], [0.629, 0.608, 0.815], [0.793, 0.814, 0.185], [0.835, 0.495, 0.377], [0.952, 0.549, 0.030], [0.056, 0.735, 0.743], [0.265, 0.008, 0.320], [0.688, 0.944, 0.680], [0.992, 0.312, 0.257]]
}

No. 6
{
  "formula": "SmSbTe3",
  "functional": "GGA-PBE",
  "state": "relaxed",
  "vol_a3_per_cell": 177,
  "corrected_energy_ev_per_atom": -4.6508,
  "formation_energy_ev_per_fu": -5.0,
  "cell": [[2.202, 1.271, 10.536], [-2.202, 1.271, 10.536], [0.000, -2.543, 10.536]],
  "species": ["Sm", "Sb", "Te", "Te", "Te"],
  "fractional_positions": [[0.000, 0.000, 0.000], [0.203, 0.203, 0.203], [0.387, 0.387, 0.387], [0.603, 0.603, 0.603], [0.818, 0.818, 0.818]]
}

No. 7
{
  "formula": "SiO2",
  "functional": "GGA-PBE",
  "state": "relaxed",
  "vol_a3_per_cell": 1252,
  "corrected_energy_ev_per_atom": -8.3531,
  "formation_energy_ev_per_fu": -9.7,
  "cell": [[9.165, -6.965, 0.000], [9.165, 6.965, 0.000], [0.000, 0.000, 9.804]],
  "species": ["Si", "Si", "Si", "Si", "Si", "Si", "Si", "Si", "Si", "Si", "Si", "Si", "Si", "Si", "Si", "Si", "Si", "Si", "Si", "Si", "Si", "Si", "Si", "Si", "O", "O", "O", "O", "O", "O", "O", "O", "O", "O", "O", "O", "O", "O", "O", "O", "O", "O", "O", "O", "O", "O", "O", "O", "O", "O", "O", "O", "O", "O", "O", "O", "O", "O", "O", "O", "O", "O", "O", "O", "O", "O", "O", "O", "O", "O", "O", "O"],
  "fractional_positions": [[0.015, 0.157, 0.129], [0.047, 0.559, 0.870], [0.059, 0.547, 0.370], [0.143, 0.214, 0.657], [0.157, 0.015, 0.871], [0.214, 0.143, 0.343], [0.286, 0.357, 0.843], [0.343, 0.485, 0.371], [0.357, 0.286, 0.157], [0.441, 0.953, 0.870], [0.453, 0.941, 0.370], [0.485, 0.343, 0.629], [0.515, 0.657, 0.371], [0.547, 0.059, 0.630], [0.559, 0.047, 0.130], [0.643, 0.714, 0.843], [0.657, 0.515, 0.629], [0.714, 0.643, 0.157], [0.786, 0.857, 0.657], [0.843, 0.985, 0.129], [0.857, 0.786, 0.343], [0.941, 0.453, 0.630], [0.953, 0.441, 0.130], [0.985, 0.843, 0.871], [0.000, 0.500, 0.000], [0.000, 0.500, 0.500], [0.011, 0.313, 0.661], [0.039, 0.700, 0.895], [0.045, 0.455, 0.250], [0.089, 0.130, 0.273], [0.097, 0.903, 0.864], [0.103, 0.103, 0.000], [0.130, 0.089, 0.727], [0.187, 0.489, 0.839], [0.190, 0.190, 0.500], [0.200, 0.539, 0.395], [0.237, 0.263, 0.750], [0.263, 0.237, 0.250], [0.300, 0.961, 0.895], [0.310, 0.310, 0.000], [0.313, 0.011, 0.339], [0.370, 0.411, 0.227], [0.397, 0.397, 0.500], [0.403, 0.597, 0.364], [0.411, 0.370, 0.773], [0.455, 0.045, 0.750], [0.461, 0.800, 0.395], [0.489, 0.187, 0.161], [0.500, 0.000, 0.000], [0.500, 0.000, 0.500], [0.511, 0.813, 0.839], [0.539, 0.200, 0.605], [0.545, 0.955, 0.250], [0.589, 0.630, 0.227], [0.597, 0.403, 0.636], [0.603, 0.603, 0.500], [0.630, 0.589, 0.773], [0.687, 0.989, 0.661], [0.690, 0.690, 0.000], [0.700, 0.039, 0.105], [0.737, 0.763, 0.750], [0.763, 0.737, 0.250], [0.800, 0.461, 0.605], [0.810, 0.810, 0.500], [0.813, 0.511, 0.161], [0.870, 0.911, 0.273], [0.897, 0.897, 0.000], [0.903, 0.097, 0.136], [0.911, 0.870, 0.727], [0.955, 0.545, 0.750], [0.961, 0.300, 0.105], [0.989, 0.687, 0.339]]
}

No. 8
{
  "formula": "CeH3",
  "functional": "GGA-PBE",
  "state": "relaxed",
  "vol_a3_per_cell": 40,
  "corrected_energy_ev_per_atom": -4.6325,
  "formation_energy_ev_per_fu": -2.4,
  "de_polymorph_mev_per_atom": 0,
  "cell": [[0.000, 2.725, 2.725], [2.725, 0.000, 2.725], [2.725, 2.725, 0.000]],
  "species": ["Ce", "H", "H", "H"],
  "fractional_positions": [[0.000, 0.000, 0.000], [0.250, 0.250, 0.250], [0.500, 0.500, 0.500], [0.750, 0.750, 0.750]]
}